VASP calculation (PBE) on a geometry-optimized Na10Mg2Zr6Si7S5O48 structure.

Calculated values
VASP energy, eV/atom: -7.0742
Space-group type: P1

Cell and atoms, written as POSCAR:
```
Na10Mg2Zr6Si7S5O48
1.0
9.160 0.000 0.000
0.010 15.812 0.000
0.010 0.011 22.744
Na Mg Zr Si S O
30 6 18 21 15 144
Direct
0.000 0.000 0.000
0.000 0.301 0.334
0.011 0.961 0.664
0.019 0.331 0.667
0.126 0.829 0.169
0.134 0.463 0.165
0.141 0.798 0.833
0.179 0.154 0.162
0.316 0.625 0.915
0.318 0.968 0.583
0.329 0.318 0.250
0.332 0.975 0.086
0.336 0.318 0.751
0.338 0.641 0.422
0.443 0.158 0.677
0.491 0.456 0.676
0.498 0.132 0.008
0.505 0.151 0.347
0.646 0.651 0.846
0.657 0.955 0.166
0.680 0.985 0.844
0.709 0.658 0.175
0.805 0.824 0.250
0.828 0.808 0.751
0.831 0.128 0.415
0.832 0.471 0.083
0.837 0.154 0.921
0.839 0.489 0.585
0.969 0.654 0.659
0.999 0.658 0.342
0.312 0.311 0.103
0.325 0.314 0.611
0.332 0.986 0.438
0.816 0.817 0.111
0.817 0.488 0.938
0.834 0.810 0.602
0.300 0.654 0.567
0.310 0.643 0.776
0.318 0.651 0.069
0.319 0.980 0.738
0.325 0.650 0.275
0.326 0.314 0.900
0.329 0.316 0.400
0.329 0.983 0.239
0.329 0.983 0.939
0.814 0.813 0.403
0.817 0.817 0.903
0.819 0.484 0.738
0.821 0.487 0.439
0.828 0.154 0.776
0.828 0.478 0.237
0.832 0.151 0.568
0.838 0.145 0.276
0.842 0.152 0.067
0.025 0.647 0.173
0.027 0.983 0.842
0.119 0.483 0.339
0.121 0.146 0.670
0.169 0.799 0.673
0.173 0.500 0.669
0.178 0.124 0.343
0.180 0.167 0.008
0.468 0.834 0.838
0.470 0.797 0.171
0.471 0.132 0.834
0.530 0.481 0.839
0.619 0.980 0.339
0.673 0.963 0.011
0.674 0.630 0.335
0.678 0.297 0.670
0.681 0.335 0.340
0.968 0.665 0.507
0.969 0.625 0.843
0.977 0.999 0.169
0.978 0.299 0.173
0.031 0.314 0.507
0.115 0.811 0.007
0.172 0.462 0.008
0.177 0.836 0.342
0.468 0.501 0.170
0.470 0.164 0.509
0.471 0.460 0.510
0.530 0.152 0.172
0.531 0.818 0.509
0.612 0.321 0.008
0.615 0.651 0.671
0.677 0.663 0.009
0.679 0.002 0.670
0.969 0.338 0.842
0.974 0.961 0.508
0.004 0.145 0.336
0.006 0.500 0.392
0.010 0.129 0.614
0.010 0.156 0.727
0.013 0.470 0.005
0.015 0.826 0.344
0.024 0.464 0.279
0.024 0.813 0.059
0.028 0.805 0.952
0.121 0.316 0.560
0.121 0.992 0.902
0.123 0.310 0.453
0.127 0.656 0.232
0.130 0.329 0.843
0.133 0.970 0.505
0.134 0.967 0.785
0.145 0.630 0.118
0.145 0.645 0.836
0.151 0.657 0.502
0.156 0.311 0.169
0.156 0.997 0.176
0.205 0.563 0.613
0.205 0.742 0.731
0.205 0.890 0.005
0.208 0.067 0.399
0.209 0.883 0.285
0.214 0.418 0.063
0.215 0.397 0.348
0.215 0.735 0.006
0.218 0.231 0.665
0.218 0.568 0.335
0.225 0.062 0.673
0.232 0.417 0.956
0.233 0.226 0.953
0.234 0.748 0.616
0.236 0.878 0.393
0.238 0.748 0.337
0.242 0.406 0.664
0.243 0.069 0.002
0.244 0.548 0.007
0.246 0.893 0.674
0.248 0.203 0.068
0.252 0.086 0.282
0.253 0.545 0.725
0.255 0.220 0.349
0.387 0.878 0.894
0.388 0.889 0.174
0.396 0.748 0.114
0.398 0.225 0.842
0.401 0.542 0.223
0.402 0.417 0.164
0.402 0.740 0.831
0.403 0.080 0.507
0.408 0.089 0.774
0.410 0.415 0.458
0.412 0.548 0.510
0.417 0.401 0.845
0.420 0.211 0.562
0.425 0.737 0.226
0.430 0.890 0.504
0.432 0.226 0.169
0.433 0.415 0.564
0.434 0.569 0.831
0.436 0.215 0.454
0.437 0.555 0.117
0.439 0.070 0.892
0.439 0.072 0.173
0.447 0.736 0.511
0.450 0.898 0.782
0.494 0.975 0.003
0.498 0.642 0.333
0.503 0.307 0.665
0.503 0.321 0.348
0.511 0.997 0.393
0.512 0.654 0.010
0.517 0.330 0.060
0.517 0.641 0.620
0.518 0.998 0.673
0.520 0.313 0.954
0.525 0.967 0.276
0.531 0.657 0.727
0.620 0.157 0.226
0.622 0.143 0.118
0.622 0.468 0.775
0.623 0.812 0.454
0.627 0.826 0.560
0.629 0.498 0.174
0.634 0.465 0.505
0.635 0.156 0.510
0.639 0.497 0.892
0.645 0.804 0.169
0.645 0.825 0.848
0.650 0.136 0.833
0.693 0.237 0.011
0.707 0.394 0.282
0.708 0.571 0.673
0.711 0.570 0.392
0.711 0.714 0.955
0.713 0.236 0.727
0.714 0.725 0.667
0.715 0.057 0.619
0.715 0.913 0.069
0.716 0.068 0.331
0.716 0.391 0.003
0.727 0.708 0.062
0.730 0.899 0.345
0.739 0.062 0.010
0.741 0.040 0.725
0.742 0.578 0.006
0.746 0.589 0.276
0.746 0.918 0.664
0.747 0.240 0.332
0.748 0.917 0.952
0.757 0.247 0.614
0.759 0.722 0.342
0.760 0.378 0.397
0.761 0.389 0.675
0.890 0.720 0.847
0.897 0.051 0.222
0.898 0.568 0.503
0.898 0.585 0.782
0.900 0.393 0.172
0.901 0.048 0.506
0.905 0.250 0.838
0.910 0.379 0.893
0.910 0.905 0.167
0.913 0.246 0.117
0.914 0.061 0.835
0.914 0.914 0.457
0.917 0.707 0.568
0.921 0.721 0.449
0.922 0.562 0.173
0.929 0.895 0.845
0.930 0.732 0.164
0.932 0.919 0.564
0.934 0.388 0.505
0.936 0.384 0.785
0.939 0.234 0.506
0.942 0.568 0.899
0.943 0.244 0.232
0.947 0.057 0.109
0.991 0.810 0.670
0.994 0.496 0.676
0.999 0.159 0.004
```

=====

VASP calculation (PBE) on a geometry-optimized Na6Mg4Zr4Si3S9O48 structure.

Calculated values
VASP energy, eV/atom: -6.7183
Space-group type: P1

Cell and atoms, written as POSCAR:
```
Na6Mg4Zr4Si3S9O48
1.0
8.887 0.000 0.000
-0.018 15.502 0.000
-0.012 -0.080 23.178
Na Mg Zr Si S O
18 12 12 9 27 144
Direct
0.000 0.000 0.000
0.001 0.649 0.665
0.006 0.313 0.837
0.013 0.983 0.492
0.133 0.815 0.079
0.138 0.143 0.415
0.355 0.641 0.918
0.363 0.315 0.578
0.484 0.479 0.994
0.493 0.491 0.493
0.494 0.811 0.330
0.508 0.150 0.157
0.513 0.821 0.833
0.515 0.141 0.665
0.634 0.311 0.085
0.870 0.817 0.586
0.982 0.639 0.162
0.984 0.321 0.328
0.005 0.977 0.348
0.007 0.642 0.511
0.494 0.476 0.851
0.496 0.144 0.016
0.500 0.141 0.511
0.500 0.484 0.647
0.504 0.819 0.981
0.508 0.480 0.150
0.991 0.982 0.651
0.994 0.319 0.479
0.994 0.991 0.143
0.998 0.638 0.012
0.002 0.648 0.311
0.011 0.307 0.974
0.485 0.815 0.470
0.500 0.149 0.814
0.503 0.146 0.310
0.505 0.811 0.183
0.507 0.489 0.345
0.507 0.815 0.685
0.981 0.311 0.181
0.989 0.989 0.848
0.993 0.310 0.684
0.994 0.646 0.813
0.151 0.501 0.915
0.213 0.143 0.916
0.289 0.641 0.416
0.344 0.005 0.414
0.641 0.335 0.244
0.648 0.627 0.242
0.843 0.161 0.077
0.846 0.126 0.742
0.863 0.834 0.743
0.141 0.839 0.244
0.142 0.125 0.247
0.145 0.461 0.580
0.146 0.167 0.577
0.147 0.794 0.917
0.202 0.815 0.580
0.210 0.481 0.245
0.287 0.982 0.745
0.295 0.317 0.081
0.350 0.294 0.417
0.352 0.667 0.077
0.353 0.959 0.080
0.355 0.624 0.746
0.357 0.338 0.744
0.639 0.999 0.916
0.642 0.297 0.915
0.646 0.665 0.579
0.646 0.963 0.579
0.703 0.315 0.578
0.703 0.649 0.915
0.716 0.980 0.247
0.782 0.481 0.746
0.794 0.149 0.415
0.795 0.813 0.078
0.851 0.464 0.079
0.857 0.500 0.416
0.857 0.795 0.416
0.066 0.408 0.919
0.075 0.547 0.575
0.075 0.549 0.856
0.076 0.750 0.251
0.078 0.088 0.301
0.080 0.214 0.241
0.080 0.876 0.191
0.081 0.418 0.632
0.082 0.081 0.585
0.082 0.209 0.526
0.082 0.756 0.969
0.082 0.880 0.907
0.102 0.739 0.575
0.103 0.058 0.908
0.103 0.229 0.916
0.108 0.558 0.252
0.109 0.894 0.584
0.112 0.226 0.629
0.112 0.403 0.240
0.113 0.889 0.296
0.115 0.072 0.196
0.118 0.738 0.864
0.119 0.405 0.529
0.128 0.568 0.968
0.164 0.995 0.406
0.183 0.298 0.422
0.184 0.667 0.076
0.187 0.962 0.088
0.188 0.328 0.738
0.188 0.659 0.357
0.189 0.636 0.751
0.191 0.633 0.472
0.197 0.307 0.132
0.199 0.329 0.029
0.199 0.967 0.797
0.199 0.993 0.693
0.299 0.470 0.298
0.300 0.495 0.193
0.300 0.804 0.631
0.301 0.824 0.529
0.310 0.135 0.253
0.310 0.828 0.239
0.311 0.156 0.856
0.313 0.467 0.587
0.314 0.167 0.576
0.315 0.798 0.921
0.317 0.134 0.971
0.332 0.496 0.905
0.370 0.065 0.469
0.379 0.238 0.365
0.380 0.903 0.029
0.385 0.573 0.694
0.386 0.390 0.795
0.386 0.726 0.129
0.386 0.902 0.739
0.389 0.240 0.075
0.390 0.057 0.751
0.392 0.395 0.085
0.398 0.557 0.409
0.400 0.728 0.419
0.415 0.582 0.085
0.415 0.709 0.025
0.416 0.256 0.470
0.416 0.380 0.409
0.417 0.376 0.690
0.420 0.044 0.076
0.420 0.714 0.738
0.420 0.915 0.132
0.421 0.250 0.750
0.421 0.589 0.799
0.424 0.049 0.357
0.427 0.909 0.419
0.570 0.913 0.920
0.573 0.237 0.255
0.573 0.725 0.239
0.574 0.589 0.302
0.576 0.382 0.905
0.577 0.370 0.184
0.578 0.048 0.574
0.579 0.257 0.967
0.579 0.580 0.588
0.580 0.040 0.862
0.580 0.708 0.528
0.580 0.919 0.631
0.601 0.726 0.920
0.604 0.392 0.586
0.605 0.238 0.573
0.608 0.393 0.302
0.609 0.571 0.906
0.612 0.904 0.240
0.614 0.053 0.967
0.614 0.905 0.529
0.615 0.241 0.862
0.616 0.058 0.252
0.617 0.573 0.186
0.617 0.723 0.631
0.662 0.164 0.073
0.666 0.141 0.752
0.673 0.824 0.739
0.685 0.468 0.084
0.689 0.802 0.421
0.690 0.490 0.410
0.692 0.492 0.693
0.693 0.469 0.798
0.697 0.802 0.131
0.698 0.825 0.028
0.700 0.139 0.466
0.700 0.164 0.363
0.797 0.664 0.862
0.798 0.639 0.966
0.799 0.304 0.631
0.799 0.327 0.528
0.803 0.968 0.299
0.806 0.989 0.909
0.806 0.990 0.195
0.809 0.305 0.918
0.812 0.967 0.584
0.813 0.662 0.574
0.829 0.327 0.243
0.829 0.642 0.254
0.879 0.073 0.686
0.880 0.227 0.134
0.881 0.554 0.467
0.882 0.559 0.751
0.883 0.739 0.364
0.884 0.409 0.028
0.885 0.405 0.738
0.888 0.071 0.407
0.888 0.893 0.801
0.891 0.735 0.073
0.894 0.888 0.087
0.896 0.226 0.421
0.917 0.755 0.469
0.918 0.423 0.132
0.918 0.542 0.363
0.918 0.550 0.074
0.920 0.217 0.024
0.921 0.881 0.407
0.922 0.870 0.682
0.923 0.087 0.802
0.924 0.225 0.738
0.925 0.070 0.083
0.926 0.736 0.752
0.927 0.414 0.421
```